A plane-wave DFT calculation with GGA+U was carried out for KFe2HSe4O12 after structural relaxation.

Computed properties:
Energy with MP2020 corrections ... -124.24 eV/f.u.
SG ... P2
Formation energy ... -1472 meV/atom

Cell lengths 10.211, 5.371, 10.786 Å; angles 90.00, 96.77, 90.00 degrees
Sites, in units of the cell vectors:
1 K 0.000 0.000 0.000
2 K 0.500 0.075 0.500
3 Fe 0.244 0.056 0.758
4 Fe 0.246 0.568 0.260
5 Fe 0.754 0.568 0.740
6 Fe 0.756 0.056 0.242
7 H 0.485 0.382 0.735
8 H 0.515 0.382 0.265
9 Se 0.095 0.079 0.355
10 Se 0.237 0.563 0.576
11 Se 0.272 0.552 0.937
12 Se 0.408 0.037 0.152
13 Se 0.592 0.037 0.848
14 Se 0.728 0.552 0.063
15 Se 0.763 0.563 0.424
16 Se 0.905 0.079 0.645
17 O 0.073 0.125 0.653
18 O 0.099 0.777 0.299
19 O 0.142 0.250 0.230
20 O 0.178 0.754 0.837
21 O 0.194 0.271 0.902
22 O 0.211 0.636 0.074
23 O 0.307 0.848 0.614
24 O 0.308 0.489 0.443
25 O 0.332 0.363 0.682
26 O 0.382 0.857 0.278
27 O 0.419 0.349 0.227
28 O 0.429 0.001 0.864
29 O 0.571 0.001 0.136
30 O 0.581 0.349 0.773
31 O 0.618 0.857 0.722
32 O 0.668 0.363 0.318
33 O 0.692 0.489 0.557
34 O 0.693 0.848 0.386
35 O 0.789 0.636 0.926
36 O 0.806 0.271 0.098
37 O 0.822 0.754 0.163
38 O 0.858 0.250 0.770
39 O 0.901 0.777 0.701
40 O 0.927 0.125 0.347

---

A plane-wave DFT calculation with GGA+U was carried out for Nd5Te7MoCl3O23 after structural relaxation.

Computed properties:
Energy with MP2020 corrections ... -266.92 eV/f.u.
SG ... C2
Formation energy ... -2330 meV/atom

Cell lengths 10.021, 10.021, 18.491 Å; angles 92.71, 92.71, 134.62 degrees
Sites, in units of the cell vectors:
1 Nd 0.000 0.000 0.000
2 Nd 0.015 0.722 0.363
3 Nd 0.059 0.061 0.238
4 Nd 0.236 0.501 0.363
5 Nd 0.278 0.985 0.637
6 Nd 0.456 0.423 0.762
7 Nd 0.499 0.764 0.637
8 Nd 0.517 0.483 0.000
9 Nd 0.577 0.544 0.238
10 Nd 0.939 0.941 0.762
11 Te 0.056 0.202 0.610
12 Te 0.123 0.395 0.143
13 Te 0.163 0.406 0.885
14 Te 0.353 0.081 0.115
15 Te 0.394 0.092 0.859
16 Te 0.458 0.284 0.390
17 Te 0.594 0.837 0.115
18 Te 0.605 0.877 0.857
19 Te 0.716 0.542 0.610
20 Te 0.754 0.239 0.738
21 Te 0.761 0.246 0.262
22 Te 0.798 0.944 0.390
23 Te 0.908 0.606 0.141
24 Te 0.919 0.647 0.885
25 Mo 0.022 0.508 0.523
26 Mo 0.492 0.978 0.477
27 Cl 0.060 0.940 0.500
28 Cl 0.195 0.680 0.786
29 Cl 0.258 0.742 0.000
30 Cl 0.320 0.805 0.214
31 Cl 0.454 0.546 0.500
32 Cl 0.727 0.273 0.000
33 O 0.052 0.168 0.113
34 O 0.064 0.389 0.470
35 O 0.074 0.888 0.109
36 O 0.112 0.926 0.891
37 O 0.160 0.268 0.808
38 O 0.170 0.137 0.663
39 O 0.183 0.308 0.966
40 O 0.236 0.448 0.660
41 O 0.240 0.419 0.234
42 O 0.242 0.728 0.578
43 O 0.272 0.758 0.422
44 O 0.275 0.067 0.767
45 O 0.278 0.038 0.340
46 O 0.329 0.177 0.035
47 O 0.344 0.348 0.337
48 O 0.354 0.217 0.191
49 O 0.402 0.559 0.109
50 O 0.441 0.598 0.891
51 O 0.450 0.097 0.530
52 O 0.461 0.318 0.886
53 O 0.522 0.008 0.689
54 O 0.552 0.764 0.340
55 O 0.574 0.339 0.670
56 O 0.581 0.760 0.766
57 O 0.611 0.936 0.530
58 O 0.644 0.130 0.413
59 O 0.648 0.281 0.808
60 O 0.652 0.656 0.663
61 O 0.661 0.426 0.330
62 O 0.682 0.539 0.114
63 O 0.692 0.817 0.034
64 O 0.719 0.352 0.192
65 O 0.732 0.840 0.192
66 O 0.783 0.646 0.809
67 O 0.795 0.133 0.809
68 O 0.823 0.671 0.965
69 O 0.832 0.948 0.887
70 O 0.853 0.060 0.670
71 O 0.863 0.830 0.337
72 O 0.867 0.205 0.191
73 O 0.870 0.356 0.587
74 O 0.903 0.550 0.470
75 O 0.933 0.725 0.233
76 O 0.940 0.147 0.330
77 O 0.962 0.722 0.660
78 O 0.992 0.478 0.311

---

A plane-wave DFT calculation with GGA+U was carried out for Li2Cr3P5O18 after structural relaxation.

Computed properties:
Energy with MP2020 corrections ... -220.60 eV/f.u.
SG ... C2/c
Formation energy ... -2560 meV/atom

Cell lengths 13.062, 13.062, 12.507 Å; angles 91.86, 91.86, 21.13 degrees
Sites, in units of the cell vectors:
1 Li 0.009 0.307 0.370
2 Li 0.307 0.009 0.870
3 Li 0.693 0.991 0.130
4 Li 0.991 0.693 0.630
5 Cr 0.000 0.000 0.000
6 Cr 0.000 0.000 0.500
7 Cr 0.257 0.347 0.380
8 Cr 0.347 0.257 0.880
9 Cr 0.653 0.743 0.120
10 Cr 0.743 0.653 0.620
11 P 0.214 0.336 0.128
12 P 0.233 0.767 0.250
13 P 0.336 0.214 0.628
14 P 0.429 0.432 0.409
15 P 0.432 0.429 0.909
16 P 0.568 0.571 0.091
17 P 0.571 0.568 0.591
18 P 0.664 0.786 0.372
19 P 0.767 0.233 0.750
20 P 0.786 0.664 0.872
21 O 0.050 0.902 0.156
22 O 0.098 0.950 0.344
23 O 0.112 0.343 0.877
24 O 0.126 0.744 0.933
25 O 0.166 0.269 0.625
26 O 0.252 0.364 0.537
27 O 0.256 0.874 0.567
28 O 0.259 0.354 0.727
29 O 0.269 0.166 0.125
30 O 0.279 0.471 0.381
31 O 0.282 0.628 0.500
32 O 0.343 0.112 0.377
33 O 0.354 0.259 0.227
34 O 0.364 0.252 0.037
35 O 0.372 0.718 0.000
36 O 0.404 0.512 0.295
37 O 0.471 0.279 0.881
38 O 0.488 0.596 0.205
39 O 0.512 0.404 0.795
40 O 0.529 0.721 0.119
41 O 0.596 0.488 0.705
42 O 0.628 0.282 0.000
43 O 0.636 0.748 0.963
44 O 0.646 0.741 0.773
45 O 0.657 0.888 0.623
46 O 0.718 0.372 0.500
47 O 0.721 0.529 0.619
48 O 0.731 0.834 0.875
49 O 0.741 0.646 0.273
50 O 0.744 0.126 0.433
51 O 0.748 0.636 0.463
52 O 0.834 0.731 0.375
53 O 0.874 0.256 0.067
54 O 0.888 0.657 0.123
55 O 0.902 0.050 0.656
56 O 0.950 0.098 0.844

---

A plane-wave DFT calculation with GGA+U was carried out for Li2CrFeO4 after structural relaxation.

Computed properties:
Energy with MP2020 corrections ... -59.06 eV/f.u.
ΔE to the lowest computed polymorph ... 0.011 eV per atom
SG ... C2/m
Formation energy ... -2166 meV/atom

Cell lengths 9.910, 9.910, 5.159 Å; angles 95.38, 95.38, 17.25 degrees
Sites, in units of the cell vectors:
1 Li 0.000 0.000 0.000
2 Li 0.249 0.249 0.744
3 Li 0.500 0.500 0.500
4 Li 0.751 0.751 0.256
5 Cr 0.374 0.374 0.126
6 Cr 0.626 0.626 0.874
7 Fe 0.126 0.126 0.374
8 Fe 0.874 0.874 0.626
9 O 0.068 0.068 0.687
10 O 0.180 0.180 0.058
11 O 0.319 0.319 0.438
12 O 0.432 0.432 0.815
13 O 0.568 0.568 0.185
14 O 0.681 0.681 0.562
15 O 0.820 0.820 0.942
16 O 0.932 0.932 0.313

---

A plane-wave DFT calculation with GGA+U was carried out for BaLaEuWO6 after structural relaxation.

Computed properties:
Energy with MP2020 corrections ... -88.99 eV/f.u.
ΔE to the lowest computed polymorph ... 0.000 eV per atom
SG ... F-43m
Formation energy ... -2923 meV/atom

Cell lengths 6.143, 6.143, 6.143 Å; angles 60.00, 60.00, 60.00 degrees
Sites, in units of the cell vectors:
1 Ba 0.000 0.000 0.000
2 La 0.250 0.250 0.250
3 Eu 0.500 0.500 0.500
4 W 0.750 0.750 0.750
5 O 0.521 0.521 0.979
6 O 0.521 0.979 0.521
7 O 0.521 0.979 0.979
8 O 0.979 0.521 0.521
9 O 0.979 0.521 0.979
10 O 0.979 0.979 0.521

---

Q: Number 2 is which compound?
A: Nd5Te7MoCl3O23